## Cs4PbO3 (PBE-GGA)

Data for a relaxed structure of Cs4PbO3.

Values from the calculation:
The density comes out at 5.18 g/cm3. For the formation energy, the calculation gives -1372 meV/atom.

abc: 11.9316 7.4936 12.1098
angles: 90.00 111.27 90.00
Sites, in units of the cell vectors:
Cs  0.0335  0.0000  0.4229
Cs  0.0396  0.2552  0.9368
Cs  0.1541  0.7252  0.8791
Cs  0.1745  0.4290  0.3292
Cs  0.3398  0.6648  0.6633
Cs  0.3599  0.3924  0.1251
Cs  0.4468  0.1717  0.5774
Cs  0.4624  0.8762  0.0862
Cs  0.5376  0.3762  0.9138
Cs  0.5532  0.6717  0.4226
Cs  0.6401  0.8924  0.8749
Cs  0.6602  0.1648  0.3367
Cs  0.8255  0.9290  0.6708
Cs  0.8459  0.2252  0.1209
Cs  0.9604  0.7552  0.0632
Cs  0.9665  0.5000  0.5771
Pb  0.2240  0.1746  0.7336
Pb  0.2540  0.9279  0.2740
Pb  0.7460  0.4279  0.7260
Pb  0.7760  0.6746  0.2664
O  0.0996  0.1146  0.1851
O  0.2105  0.3015  0.5606
O  0.2309  0.7369  0.1294
O  0.2634  0.4108  0.8486
O  0.4002  0.0427  0.7875
O  0.4185  0.0765  0.2896
O  0.5815  0.5765  0.7104
O  0.5998  0.5427  0.2125
O  0.7366  0.9108  0.1514
O  0.7691  0.2369  0.8706
O  0.7895  0.8015  0.4394
O  0.9004  0.6146  0.8149